# 1
A plane-wave DFT calculation with PBE was carried out for a geometry-optimized Y2Ti2SiS5O24 structure.

Cell lengths 8.955, 8.955, 23.093 Å; angles 90.03, 90.12, 119.99 degrees
Space group P1 (No. 1)
Symmetry-distinct sites (fractional):
1 Y 0.000 0.000 0.000 (multiplicity 1)
2 Y 0.003 0.006 0.202 (multiplicity 1)
3 Y 0.017 0.007 0.699 (multiplicity 1)
4 Y 0.340 0.672 0.379 (multiplicity 1)
5 Y 0.344 0.670 0.876 (multiplicity 1)
6 Y 0.675 0.337 0.821 (multiplicity 1)
7 Ti 0.025 0.992 0.494 (multiplicity 1)
8 Ti 0.343 0.679 0.656 (multiplicity 1)
9 Ti 0.352 0.682 0.162 (multiplicity 1)
10 Ti 0.675 0.329 0.039 (multiplicity 1)
11 Ti 0.681 0.337 0.538 (multiplicity 1)
12 Ti 0.689 0.350 0.331 (multiplicity 1)
13 Si 0.309 0.007 0.596 (multiplicity 1)
14 Si 0.707 0.004 0.100 (multiplicity 1)
15 Si 0.949 0.621 0.436 (multiplicity 1)
16 S 0.011 0.696 0.100 (multiplicity 1)
17 S 0.012 0.301 0.597 (multiplicity 1)
18 S 0.048 0.388 0.267 (multiplicity 1)
19 S 0.064 0.670 0.762 (multiplicity 1)
20 S 0.316 0.313 0.100 (multiplicity 1)
21 S 0.342 0.392 0.762 (multiplicity 1)
22 S 0.355 0.964 0.266 (multiplicity 1)
23 S 0.392 0.322 0.434 (multiplicity 1)
24 S 0.395 0.058 0.936 (multiplicity 1)
25 S 0.621 0.948 0.762 (multiplicity 1)
26 S 0.623 0.655 0.266 (multiplicity 1)
27 S 0.678 0.617 0.935 (multiplicity 1)
28 S 0.694 0.070 0.435 (multiplicity 1)
29 S 0.712 0.708 0.596 (multiplicity 1)
30 S 0.956 0.337 0.936 (multiplicity 1)
31 O 0.024 0.215 0.260 (multiplicity 1)
32 O 0.040 0.819 0.756 (multiplicity 1)
33 O 0.045 0.219 0.547 (multiplicity 1)
34 O 0.054 0.809 0.049 (multiplicity 1)
35 O 0.125 0.497 0.933 (multiplicity 1)
36 O 0.126 0.495 0.215 (multiplicity 1)
37 O 0.134 0.644 0.429 (multiplicity 1)
38 O 0.154 0.466 0.319 (multiplicity 1)
39 O 0.155 0.653 0.710 (multiplicity 1)
40 O 0.161 0.672 0.113 (multiplicity 1)
41 O 0.163 0.692 0.816 (multiplicity 1)
42 O 0.167 0.475 0.608 (multiplicity 1)
43 O 0.171 0.969 0.541 (multiplicity 1)
44 O 0.187 0.220 0.758 (multiplicity 1)
45 O 0.205 0.239 0.049 (multiplicity 1)
46 O 0.206 0.985 0.255 (multiplicity 1)
47 O 0.216 0.168 0.443 (multiplicity 1)
48 O 0.223 0.038 0.943 (multiplicity 1)
49 O 0.233 0.047 0.652 (multiplicity 1)
50 O 0.245 0.196 0.150 (multiplicity 1)
51 O 0.323 0.470 0.816 (multiplicity 1)
52 O 0.323 0.856 0.317 (multiplicity 1)
53 O 0.325 0.832 0.611 (multiplicity 1)
54 O 0.334 0.484 0.114 (multiplicity 1)
55 O 0.359 0.499 0.711 (multiplicity 1)
56 O 0.374 0.475 0.428 (multiplicity 1)
57 O 0.376 0.871 0.214 (multiplicity 1)
58 O 0.385 0.889 0.933 (multiplicity 1)
59 O 0.469 0.292 0.381 (multiplicity 1)
60 O 0.472 0.155 0.882 (multiplicity 1)
61 O 0.492 0.338 0.087 (multiplicity 1)
62 O 0.498 0.165 0.579 (multiplicity 1)
63 O 0.498 0.376 0.766 (multiplicity 1)
64 O 0.499 0.348 0.486 (multiplicity 1)
65 O 0.504 0.151 0.987 (multiplicity 1)
66 O 0.512 0.630 0.215 (multiplicity 1)
67 O 0.512 0.856 0.710 (multiplicity 1)
68 O 0.513 0.836 0.117 (multiplicity 1)
69 O 0.514 0.133 0.274 (multiplicity 1)
70 O 0.522 0.633 0.932 (multiplicity 1)
71 O 0.538 0.689 0.607 (multiplicity 1)
72 O 0.541 0.899 0.427 (multiplicity 1)
73 O 0.544 0.850 0.815 (multiplicity 1)
74 O 0.550 0.688 0.318 (multiplicity 1)
75 O 0.632 0.117 0.765 (multiplicity 1)
76 O 0.632 0.492 0.275 (multiplicity 1)
77 O 0.661 0.510 0.987 (multiplicity 1)
78 O 0.662 0.148 0.486 (multiplicity 1)
79 O 0.677 0.169 0.083 (multiplicity 1)
80 O 0.684 0.531 0.585 (multiplicity 1)
81 O 0.695 0.538 0.881 (multiplicity 1)
82 O 0.713 0.175 0.381 (multiplicity 1)
83 O 0.777 0.955 0.044 (multiplicity 1)
84 O 0.793 0.968 0.755 (multiplicity 1)
85 O 0.794 0.826 0.547 (multiplicity 1)
86 O 0.799 0.799 0.257 (multiplicity 1)
87 O 0.818 0.775 0.649 (multiplicity 1)
88 O 0.826 0.525 0.376 (multiplicity 1)
89 O 0.827 0.048 0.155 (multiplicity 1)
90 O 0.833 0.788 0.940 (multiplicity 1)
91 O 0.844 0.498 0.490 (multiplicity 1)
92 O 0.850 0.057 0.443 (multiplicity 1)
93 O 0.857 0.314 0.882 (multiplicity 1)
94 O 0.858 0.524 0.087 (multiplicity 1)
95 O 0.862 0.327 0.586 (multiplicity 1)
96 O 0.864 0.354 0.987 (multiplicity 1)
97 O 0.871 0.369 0.277 (multiplicity 1)
98 O 0.895 0.510 0.765 (multiplicity 1)
99 O 0.962 0.811 0.447 (multiplicity 1)
100 O 0.971 0.195 0.649 (multiplicity 1)
101 O 0.972 0.772 0.150 (multiplicity 1)
102 O 0.980 0.188 0.942 (multiplicity 1)

crystal system = triclinic

***

# 2
A plane-wave DFT calculation with PBE was carried out for a geometry-optimized Ti3ZnSiS5O24 structure.

Cell lengths 8.641, 8.645, 22.361 Å; angles 89.57, 89.72, 60.05 degrees
Space group P1 (No. 1)
Symmetry-distinct sites (fractional):
1 Ti 0.000 0.000 0.000 (multiplicity 1)
2 Ti 0.001 0.010 0.500 (multiplicity 1)
3 Ti 0.002 0.991 0.284 (multiplicity 1)
4 Ti 0.324 0.329 0.664 (multiplicity 1)
5 Ti 0.339 0.336 0.172 (multiplicity 1)
6 Ti 0.654 0.677 0.333 (multiplicity 1)
7 Ti 0.660 0.680 0.125 (multiplicity 1)
8 Ti 0.668 0.666 0.835 (multiplicity 1)
9 Ti 0.674 0.659 0.619 (multiplicity 1)
10 Zn 0.001 0.002 0.788 (multiplicity 1)
11 Zn 0.327 0.339 0.455 (multiplicity 1)
12 Zn 0.335 0.334 0.957 (multiplicity 1)
13 Si 0.050 0.334 0.557 (multiplicity 1)
14 Si 0.384 0.669 0.228 (multiplicity 1)
15 Si 0.668 0.952 0.227 (multiplicity 1)
16 S 0.001 0.715 0.393 (multiplicity 1)
17 S 0.003 0.288 0.893 (multiplicity 1)
18 S 0.045 0.622 0.059 (multiplicity 1)
19 S 0.287 0.001 0.393 (multiplicity 1)
20 S 0.289 0.712 0.893 (multiplicity 1)
21 S 0.335 0.045 0.059 (multiplicity 1)
22 S 0.335 0.622 0.560 (multiplicity 1)
23 S 0.385 0.952 0.727 (multiplicity 1)
24 S 0.624 0.045 0.560 (multiplicity 1)
25 S 0.626 0.336 0.060 (multiplicity 1)
26 S 0.666 0.383 0.727 (multiplicity 1)
27 S 0.714 0.001 0.893 (multiplicity 1)
28 S 0.716 0.288 0.393 (multiplicity 1)
29 S 0.953 0.383 0.227 (multiplicity 1)
30 S 0.954 0.668 0.727 (multiplicity 1)
31 O 0.021 0.809 0.339 (multiplicity 1)
32 O 0.024 0.158 0.549 (multiplicity 1)
33 O 0.025 0.806 0.049 (multiplicity 1)
34 O 0.030 0.184 0.839 (multiplicity 1)
35 O 0.119 0.518 0.005 (multiplicity 1)
36 O 0.124 0.381 0.501 (multiplicity 1)
37 O 0.131 0.364 0.216 (multiplicity 1)
38 O 0.134 0.503 0.719 (multiplicity 1)
39 O 0.151 0.319 0.903 (multiplicity 1)
40 O 0.158 0.545 0.112 (multiplicity 1)
41 O 0.164 0.543 0.396 (multiplicity 1)
42 O 0.172 0.023 0.050 (multiplicity 1)
43 O 0.173 0.800 0.553 (multiplicity 1)
44 O 0.175 0.300 0.619 (multiplicity 1)
45 O 0.177 0.024 0.340 (multiplicity 1)
46 O 0.184 0.790 0.839 (multiplicity 1)
47 O 0.191 0.844 0.239 (multiplicity 1)
48 O 0.203 0.971 0.448 (multiplicity 1)
49 O 0.207 0.829 0.946 (multiplicity 1)
50 O 0.208 0.976 0.734 (multiplicity 1)
51 O 0.299 0.156 0.112 (multiplicity 1)
52 O 0.307 0.536 0.614 (multiplicity 1)
53 O 0.314 0.153 0.398 (multiplicity 1)
54 O 0.320 0.533 0.903 (multiplicity 1)
55 O 0.357 0.499 0.214 (multiplicity 1)
56 O 0.369 0.117 0.005 (multiplicity 1)
57 O 0.377 0.129 0.720 (multiplicity 1)
58 O 0.382 0.514 0.507 (multiplicity 1)
59 O 0.464 0.831 0.388 (multiplicity 1)
60 O 0.471 0.700 0.885 (multiplicity 1)
61 O 0.471 0.844 0.674 (multiplicity 1)
62 O 0.478 0.697 0.169 (multiplicity 1)
63 O 0.487 0.653 0.574 (multiplicity 1)
64 O 0.491 0.144 0.214 (multiplicity 1)
65 O 0.491 0.862 0.068 (multiplicity 1)
66 O 0.499 0.867 0.781 (multiplicity 1)
67 O 0.503 0.371 0.719 (multiplicity 1)
68 O 0.512 0.627 0.286 (multiplicity 1)
69 O 0.519 0.114 0.507 (multiplicity 1)
70 O 0.520 0.368 0.005 (multiplicity 1)
71 O 0.535 0.150 0.903 (multiplicity 1)
72 O 0.541 0.305 0.401 (multiplicity 1)
73 O 0.543 0.160 0.614 (multiplicity 1)
74 O 0.547 0.297 0.113 (multiplicity 1)
75 O 0.636 0.858 0.286 (multiplicity 1)
76 O 0.638 0.498 0.781 (multiplicity 1)
77 O 0.645 0.865 0.574 (multiplicity 1)
78 O 0.659 0.484 0.070 (multiplicity 1)
79 O 0.691 0.473 0.674 (multiplicity 1)
80 O 0.702 0.832 0.885 (multiplicity 1)
81 O 0.706 0.828 0.168 (multiplicity 1)
82 O 0.709 0.461 0.387 (multiplicity 1)
83 O 0.791 0.030 0.839 (multiplicity 1)
84 O 0.804 0.177 0.340 (multiplicity 1)
85 O 0.807 0.020 0.554 (multiplicity 1)
86 O 0.808 0.168 0.050 (multiplicity 1)
87 O 0.825 0.209 0.733 (multiplicity 1)
88 O 0.831 0.199 0.448 (multiplicity 1)
89 O 0.831 0.966 0.946 (multiplicity 1)
90 O 0.834 0.469 0.885 (multiplicity 1)
91 O 0.835 0.983 0.238 (multiplicity 1)
92 O 0.840 0.698 0.385 (multiplicity 1)
93 O 0.842 0.692 0.674 (multiplicity 1)
94 O 0.843 0.460 0.173 (multiplicity 1)
95 O 0.851 0.499 0.576 (multiplicity 1)
96 O 0.865 0.648 0.068 (multiplicity 1)
97 O 0.872 0.634 0.781 (multiplicity 1)
98 O 0.878 0.494 0.281 (multiplicity 1)
99 O 0.967 0.205 0.947 (multiplicity 1)
100 O 0.971 0.828 0.447 (multiplicity 1)
101 O 0.973 0.823 0.733 (multiplicity 1)
102 O 0.975 0.204 0.236 (multiplicity 1)

crystal system = triclinic

***

For the records above, the corresponding DFT formation energy values read -2.62, -2.38 eV/atom.